Record 1
{
  "formula": "Na2Hf4Zn4SiS11O48",
  "functional": "PBE",
  "state": "relaxed",
  "ef_ev_per_atom": -2.320,
  "sg": "P1 (1)",
  "energy_ev_per_atom": -6.648,
  "lattice": [[8.822, 0.000, 0.000], [0.030, 15.252, 0.000], [0.071, 0.052, 22.865]],
  "species": ["Na", "Na", "Na", "Na", "Na", "Na", "Hf", "Hf", "Hf", "Hf", "Hf", "Hf", "Hf", "Hf", "Hf", "Hf", "Hf", "Hf", "Zn", "Zn", "Zn", "Zn", "Zn", "Zn", "Zn", "Zn", "Zn", "Zn", "Zn", "Zn", "Si", "Si", "Si", "S", "S", "S", "S", "S", "S", "S", "S", "S", "S", "S", "S", "S", "S", "S", "S", "S", "S", "S", "S", "S", "S", "S", "S", "S", "S", "S", "S", "S", "S", "S", "S", "S", "O", "O", "O", "O", "O", "O", "O", "O", "O", "O", "O", "O", "O", "O", "O", "O", "O", "O", "O", "O", "O", "O", "O", "O", "O", "O", "O", "O", "O", "O", "O", "O", "O", "O", "O", "O", "O", "O", "O", "O", "O", "O", "O", "O", "O", "O", "O", "O", "O", "O", "O", "O", "O", "O", "O", "O", "O", "O", "O", "O", "O", "O", "O", "O", "O", "O", "O", "O", "O", "O", "O", "O", "O", "O", "O", "O", "O", "O", "O", "O", "O", "O", "O", "O", "O", "O", "O", "O", "O", "O", "O", "O", "O", "O", "O", "O", "O", "O", "O", "O", "O", "O", "O", "O", "O", "O", "O", "O", "O", "O", "O", "O", "O", "O", "O", "O", "O", "O", "O", "O", "O", "O", "O", "O", "O", "O", "O", "O", "O", "O", "O", "O", "O", "O", "O", "O", "O", "O", "O", "O", "O", "O", "O", "O"],
  "frac_coords": [[0.000, 0.000, 0.000], [0.000, 0.001, 0.492], [0.505, 0.504, 0.501], [0.506, 0.508, 0.996], [0.510, 0.844, 0.340], [0.997, 0.342, 0.832], [0.000, 0.340, 0.192], [0.000, 0.676, 0.813], [0.500, 0.839, 0.687], [0.505, 0.174, 0.521], [0.505, 0.840, 0.183], [0.506, 0.176, 0.020], [0.510, 0.176, 0.811], [0.992, 0.341, 0.476], [0.993, 0.340, 0.683], [0.993, 0.343, 0.977], [0.996, 0.679, 0.312], [0.998, 0.682, 0.519], [0.000, 0.679, 0.021], [0.001, 0.001, 0.849], [0.001, 0.005, 0.648], [0.498, 0.171, 0.311], [0.499, 0.503, 0.348], [0.501, 0.509, 0.150], [0.502, 0.835, 0.979], [0.508, 0.503, 0.646], [0.508, 0.505, 0.852], [0.512, 0.843, 0.476], [0.998, 0.002, 0.352], [0.999, 0.004, 0.153], [0.641, 0.324, 0.915], [0.701, 0.345, 0.582], [0.849, 0.827, 0.415], [0.144, 0.192, 0.582], [0.148, 0.486, 0.581], [0.148, 0.821, 0.917], [0.149, 0.148, 0.249], [0.149, 0.863, 0.248], [0.150, 0.531, 0.917], [0.210, 0.171, 0.916], [0.213, 0.843, 0.581], [0.215, 0.508, 0.249], [0.287, 0.007, 0.749], [0.291, 0.342, 0.083], [0.294, 0.671, 0.415], [0.350, 0.984, 0.080], [0.354, 0.363, 0.750], [0.355, 0.029, 0.414], [0.355, 0.693, 0.080], [0.358, 0.648, 0.749], [0.359, 0.320, 0.414], [0.638, 0.361, 0.249], [0.641, 0.695, 0.581], [0.644, 0.650, 0.249], [0.648, 0.026, 0.916], [0.651, 0.984, 0.582], [0.709, 0.674, 0.918], [0.710, 0.009, 0.249], [0.791, 0.172, 0.414], [0.791, 0.508, 0.750], [0.795, 0.842, 0.080], [0.852, 0.530, 0.415], [0.854, 0.488, 0.083], [0.857, 0.864, 0.748], [0.861, 0.150, 0.749], [0.861, 0.193, 0.083], [0.071, 0.571, 0.574], [0.072, 0.113, 0.301], [0.074, 0.106, 0.588], [0.075, 0.780, 0.968], [0.075, 0.908, 0.908], [0.076, 0.239, 0.238], [0.076, 0.569, 0.863], [0.077, 0.237, 0.530], [0.077, 0.440, 0.922], [0.080, 0.443, 0.634], [0.081, 0.898, 0.195], [0.085, 0.772, 0.257], [0.112, 0.095, 0.910], [0.112, 0.584, 0.258], [0.112, 0.919, 0.589], [0.114, 0.429, 0.239], [0.114, 0.765, 0.863], [0.116, 0.582, 0.969], [0.118, 0.253, 0.923], [0.119, 0.429, 0.529], [0.120, 0.248, 0.635], [0.121, 0.761, 0.577], [0.122, 0.097, 0.195], [0.130, 0.916, 0.301], [0.185, 0.349, 0.742], [0.187, 0.996, 0.089], [0.188, 0.025, 0.411], [0.190, 0.686, 0.076], [0.191, 0.662, 0.759], [0.193, 0.328, 0.134], [0.193, 0.329, 0.426], [0.193, 0.681, 0.363], [0.194, 0.353, 0.030], [0.194, 0.658, 0.468], [0.198, 0.024, 0.696], [0.198, 0.989, 0.801], [0.303, 0.489, 0.301], [0.303, 0.523, 0.196], [0.305, 0.186, 0.863], [0.306, 0.159, 0.969], [0.307, 0.855, 0.529], [0.309, 0.185, 0.574], [0.310, 0.829, 0.635], [0.311, 0.163, 0.256], [0.311, 0.496, 0.588], [0.311, 0.520, 0.908], [0.312, 0.827, 0.921], [0.318, 0.850, 0.240], [0.374, 0.416, 0.802], [0.378, 0.596, 0.696], [0.379, 0.930, 0.028], [0.381, 0.267, 0.362], [0.381, 0.752, 0.421], [0.382, 0.260, 0.075], [0.388, 0.592, 0.410], [0.389, 0.083, 0.468], [0.389, 0.084, 0.758], [0.389, 0.418, 0.088], [0.389, 0.750, 0.134], [0.389, 0.929, 0.739], [0.419, 0.272, 0.758], [0.421, 0.399, 0.696], [0.421, 0.940, 0.422], [0.421, 0.944, 0.134], [0.422, 0.739, 0.739], [0.425, 0.069, 0.362], [0.425, 0.072, 0.074], [0.425, 0.276, 0.468], [0.427, 0.408, 0.411], [0.427, 0.605, 0.089], [0.427, 0.733, 0.029], [0.428, 0.613, 0.801], [0.567, 0.419, 0.912], [0.574, 0.271, 0.972], [0.574, 0.614, 0.302], [0.575, 0.071, 0.576], [0.575, 0.402, 0.196], [0.575, 0.608, 0.590], [0.575, 0.736, 0.530], [0.576, 0.941, 0.923], [0.579, 0.070, 0.863], [0.579, 0.274, 0.257], [0.579, 0.742, 0.241], [0.580, 0.943, 0.636], [0.600, 0.431, 0.586], [0.606, 0.255, 0.571], [0.609, 0.927, 0.239], [0.610, 0.084, 0.256], [0.613, 0.597, 0.909], [0.614, 0.259, 0.859], [0.616, 0.084, 0.968], [0.617, 0.751, 0.635], [0.620, 0.755, 0.921], [0.622, 0.599, 0.196], [0.625, 0.930, 0.530], [0.627, 0.418, 0.301], [0.667, 0.826, 0.418], [0.688, 0.492, 0.088], [0.689, 0.520, 0.410], [0.690, 0.851, 0.739], [0.693, 0.161, 0.468], [0.693, 0.161, 0.756], [0.694, 0.186, 0.075], [0.694, 0.830, 0.134], [0.698, 0.857, 0.029], [0.699, 0.190, 0.362], [0.703, 0.489, 0.802], [0.706, 0.524, 0.697], [0.800, 0.021, 0.195], [0.801, 0.988, 0.300], [0.807, 0.658, 0.969], [0.810, 0.353, 0.239], [0.810, 0.686, 0.576], [0.812, 0.661, 0.256], [0.812, 0.685, 0.863], [0.814, 0.022, 0.910], [0.814, 0.326, 0.638], [0.815, 0.996, 0.591], [0.820, 0.355, 0.526], [0.829, 0.327, 0.922], [0.873, 0.916, 0.801], [0.885, 0.099, 0.696], [0.886, 0.250, 0.134], [0.886, 0.429, 0.030], [0.886, 0.583, 0.468], [0.886, 0.761, 0.076], [0.888, 0.252, 0.424], [0.890, 0.096, 0.411], [0.891, 0.760, 0.359], [0.891, 0.921, 0.089], [0.894, 0.585, 0.759], [0.898, 0.429, 0.742], [0.922, 0.774, 0.758], [0.923, 0.441, 0.134], [0.923, 0.569, 0.363], [0.926, 0.237, 0.030], [0.927, 0.112, 0.803], [0.927, 0.773, 0.472], [0.927, 0.899, 0.696], [0.928, 0.107, 0.088], [0.928, 0.241, 0.743], [0.928, 0.571, 0.075], [0.929, 0.443, 0.422], [0.937, 0.918, 0.412]]
}

---

Record 2
{
  "formula": "Na14Hf6Zn2Si9S3O48",
  "functional": "PBE",
  "state": "relaxed",
  "ef_ev_per_atom": -2.872,
  "sg": "P1 (1)",
  "energy_ev_per_atom": -7.098,
  "lattice": [[9.202, 0.000, 0.000], [0.006, 15.887, 0.000], [0.022, 0.113, 22.559]],
  "species": ["Na", "Na", "Na", "Na", "Na", "Na", "Na", "Na", "Na", "Na", "Na", "Na", "Na", "Na", "Na", "Na", "Na", "Na", "Na", "Na", "Na", "Na", "Na", "Na", "Na", "Na", "Na", "Na", "Na", "Na", "Na", "Na", "Na", "Na", "Na", "Na", "Na", "Na", "Na", "Na", "Na", "Na", "Hf", "Hf", "Hf", "Hf", "Hf", "Hf", "Hf", "Hf", "Hf", "Hf", "Hf", "Hf", "Hf", "Hf", "Hf", "Hf", "Hf", "Hf", "Zn", "Zn", "Zn", "Zn", "Zn", "Zn", "Si", "Si", "Si", "Si", "Si", "Si", "Si", "Si", "Si", "Si", "Si", "Si", "Si", "Si", "Si", "Si", "Si", "Si", "Si", "Si", "Si", "Si", "Si", "Si", "Si", "Si", "Si", "S", "S", "S", "S", "S", "S", "S", "S", "S", "O", "O", "O", "O", "O", "O", "O", "O", "O", "O", "O", "O", "O", "O", "O", "O", "O", "O", "O", "O", "O", "O", "O", "O", "O", "O", "O", "O", "O", "O", "O", "O", "O", "O", "O", "O", "O", "O", "O", "O", "O", "O", "O", "O", "O", "O", "O", "O", "O", "O", "O", "O", "O", "O", "O", "O", "O", "O", "O", "O", "O", "O", "O", "O", "O", "O", "O", "O", "O", "O", "O", "O", "O", "O", "O", "O", "O", "O", "O", "O", "O", "O", "O", "O", "O", "O", "O", "O", "O", "O", "O", "O", "O", "O", "O", "O", "O", "O", "O", "O", "O", "O", "O", "O", "O", "O", "O", "O", "O", "O", "O", "O", "O", "O", "O", "O", "O", "O", "O", "O", "O", "O", "O", "O", "O", "O", "O", "O", "O", "O", "O", "O", "O", "O", "O", "O", "O", "O", "O", "O", "O", "O", "O", "O"],
  "frac_coords": [[0.000, 0.000, 0.000], [0.007, 0.678, 0.326], [0.017, 0.339, 0.657], [0.134, 0.500, 0.248], [0.136, 0.180, 0.080], [0.137, 0.847, 0.414], [0.138, 0.837, 0.913], [0.150, 0.181, 0.573], [0.153, 0.518, 0.739], [0.271, 0.998, 0.489], [0.282, 0.338, 0.156], [0.314, 0.706, 0.493], [0.326, 0.019, 0.163], [0.331, 0.995, 0.822], [0.333, 0.358, 0.828], [0.338, 0.321, 0.497], [0.346, 0.667, 0.164], [0.447, 0.167, 0.657], [0.452, 0.822, 0.002], [0.461, 0.498, 0.322], [0.464, 0.522, 0.658], [0.469, 0.857, 0.321], [0.479, 0.207, 0.997], [0.508, 0.838, 0.653], [0.522, 0.500, 0.993], [0.638, 0.683, 0.078], [0.643, 0.007, 0.245], [0.645, 0.348, 0.919], [0.652, 0.337, 0.411], [0.654, 0.681, 0.574], [0.656, 0.997, 0.746], [0.767, 0.836, 0.168], [0.775, 0.172, 0.826], [0.785, 0.502, 0.494], [0.819, 0.526, 0.169], [0.820, 0.198, 0.491], [0.827, 0.165, 0.154], [0.848, 0.827, 0.495], [0.941, 0.327, 0.002], [0.962, 0.667, 0.650], [0.967, 0.023, 0.664], [0.967, 0.700, 0.995], [0.127, 0.506, 0.385], [0.134, 0.507, 0.596], [0.139, 0.506, 0.089], [0.139, 0.839, 0.761], [0.149, 0.176, 0.925], [0.150, 0.514, 0.893], [0.150, 0.852, 0.264], [0.155, 0.177, 0.222], [0.158, 0.175, 0.429], [0.631, 0.675, 0.929], [0.633, 0.350, 0.761], [0.633, 0.677, 0.722], [0.643, 0.008, 0.391], [0.650, 0.339, 0.261], [0.650, 0.680, 0.422], [0.651, 0.006, 0.588], [0.656, 0.006, 0.097], [0.663, 0.005, 0.885], [0.135, 0.831, 0.553], [0.146, 0.844, 0.062], [0.163, 0.174, 0.732], [0.633, 0.684, 0.240], [0.641, 0.343, 0.559], [0.655, 0.332, 0.055], [0.002, 0.989, 0.155], [0.005, 0.031, 0.820], [0.290, 0.659, 0.995], [0.290, 0.697, 0.654], [0.292, 0.360, 0.990], [0.296, 0.324, 0.325], [0.298, 0.031, 0.326], [0.344, 0.338, 0.656], [0.347, 0.673, 0.323], [0.440, 0.838, 0.154], [0.446, 0.175, 0.823], [0.491, 0.529, 0.825], [0.493, 0.823, 0.825], [0.495, 0.858, 0.491], [0.499, 0.197, 0.154], [0.502, 0.158, 0.494], [0.784, 0.530, 0.320], [0.789, 0.489, 0.656], [0.794, 0.154, 0.988], [0.796, 0.829, 0.321], [0.796, 0.860, 0.993], [0.849, 0.510, 0.990], [0.850, 0.845, 0.656], [0.939, 0.345, 0.156], [0.942, 0.011, 0.491], [0.993, 0.654, 0.490], [0.994, 0.360, 0.494], [0.000, 0.693, 0.157], [0.293, 0.989, 0.657], [0.356, 0.012, 0.989], [0.433, 0.511, 0.490], [0.496, 0.488, 0.156], [0.791, 0.194, 0.659], [0.855, 0.176, 0.325], [0.936, 0.674, 0.825], [0.996, 0.324, 0.823], [0.023, 0.090, 0.761], [0.028, 0.742, 0.102], [0.029, 0.596, 0.549], [0.030, 0.270, 0.877], [0.030, 0.751, 0.821], [0.031, 0.599, 0.828], [0.033, 0.924, 0.210], [0.035, 0.099, 0.486], [0.035, 0.423, 0.439], [0.044, 0.261, 0.165], [0.046, 0.929, 0.496], [0.047, 0.430, 0.155], [0.060, 0.287, 0.770], [0.061, 0.409, 0.831], [0.061, 0.734, 0.210], [0.064, 0.086, 0.166], [0.064, 0.605, 0.433], [0.064, 0.747, 0.489], [0.070, 0.267, 0.487], [0.072, 0.401, 0.553], [0.077, 0.078, 0.878], [0.077, 0.607, 0.154], [0.077, 0.957, 0.094], [0.085, 0.939, 0.817], [0.210, 0.744, 0.711], [0.212, 0.267, 0.985], [0.214, 0.405, 0.048], [0.217, 0.752, 0.994], [0.218, 0.608, 0.939], [0.219, 0.602, 0.651], [0.224, 0.280, 0.266], [0.227, 0.074, 0.662], [0.227, 0.075, 0.384], [0.229, 0.935, 0.322], [0.231, 0.258, 0.664], [0.232, 0.420, 0.331], [0.238, 0.949, 0.604], [0.243, 0.591, 0.334], [0.246, 0.758, 0.317], [0.252, 0.418, 0.931], [0.252, 0.428, 0.653], [0.255, 0.085, 0.266], [0.259, 0.267, 0.384], [0.261, 0.938, 0.991], [0.262, 0.599, 0.053], [0.263, 0.937, 0.712], [0.264, 0.091, 0.985], [0.279, 0.755, 0.596], [0.313, 0.513, 0.827], [0.316, 0.835, 0.817], [0.321, 0.184, 0.163], [0.321, 0.854, 0.493], [0.322, 0.163, 0.489], [0.331, 0.496, 0.155], [0.333, 0.852, 0.213], [0.335, 0.195, 0.879], [0.339, 0.503, 0.437], [0.342, 0.520, 0.545], [0.343, 0.824, 0.095], [0.355, 0.157, 0.763], [0.438, 0.649, 0.264], [0.444, 0.023, 0.043], [0.444, 0.319, 0.598], [0.450, 0.005, 0.936], [0.452, 0.353, 0.715], [0.457, 0.691, 0.380], [0.458, 0.998, 0.656], [0.466, 0.355, 0.991], [0.468, 0.683, 0.664], [0.469, 0.663, 0.989], [0.473, 0.334, 0.317], [0.475, 0.019, 0.328], [0.509, 0.255, 0.094], [0.524, 0.589, 0.487], [0.525, 0.435, 0.210], [0.527, 0.435, 0.493], [0.528, 0.099, 0.555], [0.530, 0.766, 0.883], [0.532, 0.584, 0.766], [0.534, 0.918, 0.434], [0.535, 0.928, 0.152], [0.546, 0.091, 0.833], [0.550, 0.757, 0.160], [0.552, 0.447, 0.102], [0.555, 0.257, 0.818], [0.557, 0.919, 0.830], [0.558, 0.573, 0.884], [0.562, 0.573, 0.160], [0.564, 0.433, 0.821], [0.565, 0.779, 0.766], [0.571, 0.103, 0.149], [0.572, 0.252, 0.495], [0.573, 0.765, 0.488], [0.574, 0.904, 0.550], [0.577, 0.107, 0.439], [0.580, 0.244, 0.210], [0.706, 0.437, 0.317], [0.710, 0.454, 0.597], [0.712, 0.574, 0.380], [0.715, 0.109, 0.657], [0.716, 0.903, 0.051], [0.719, 0.792, 0.263], [0.720, 0.767, 0.985], [0.720, 0.921, 0.330], [0.723, 0.107, 0.931], [0.724, 0.248, 0.989], [0.727, 0.585, 0.667], [0.730, 0.236, 0.713], [0.743, 0.931, 0.656], [0.745, 0.429, 0.995], [0.746, 0.762, 0.667], [0.756, 0.598, 0.984], [0.756, 0.923, 0.937], [0.760, 0.101, 0.328], [0.761, 0.423, 0.712], [0.762, 0.254, 0.321], [0.763, 0.095, 0.048], [0.763, 0.244, 0.605], [0.763, 0.587, 0.261], [0.763, 0.766, 0.380], [0.813, 0.657, 0.487], [0.817, 0.353, 0.496], [0.822, 0.998, 0.154], [0.827, 0.022, 0.827], [0.827, 0.362, 0.211], [0.827, 0.997, 0.438], [0.835, 0.327, 0.821], [0.840, 0.027, 0.552], [0.842, 0.678, 0.160], [0.846, 0.684, 0.878], [0.847, 0.666, 0.770], [0.851, 0.326, 0.095], [0.940, 0.827, 0.597], [0.945, 0.168, 0.270], [0.946, 0.186, 0.378], [0.950, 0.182, 0.663], [0.954, 0.526, 0.049], [0.961, 0.863, 0.713], [0.962, 0.522, 0.328], [0.963, 0.497, 0.935], [0.969, 0.496, 0.654], [0.971, 0.852, 0.996], [0.974, 0.827, 0.318], [0.975, 0.160, 0.983]]
}